1.
# LiNiPO4 (PBE+U, optimized geometry)
# VASP energy	-6.2336	eV per atom
# formation energy from the elements	-1546.7	kJ/mol of formula units
# volume	612.65	Å³ per cell
data_LiNiPO4
_chemical_formula_sum 'Li8 Ni8 P8 O32'
_space_group_name_H-M_alt 'P 1'
_space_group_IT_number 1
_cell_length_a 6.145
_cell_length_b 7.413
_cell_length_c 13.450
_cell_angle_alpha 90.00
_cell_angle_beta 90.00
_cell_angle_gamma 90.00
loop_
_space_group_symop_operation_xyz
'x,y,z'
loop_
_atom_site_label
_atom_site_type_symbol
_atom_site_fract_x
_atom_site_fract_y
_atom_site_fract_z
O1 O 0.547 0.302 0.895
O2 O 0.789 0.529 0.051
O3 O 0.703 0.569 0.236
O4 O 0.203 0.569 0.264
O5 O 0.211 0.029 0.449
O6 O 0.297 0.431 0.764
O7 O 0.453 0.698 0.105
O8 O 0.797 0.069 0.236
O9 O 0.493 0.353 0.140
O10 O 0.789 0.971 0.551
O11 O 0.203 0.931 0.764
O12 O 0.507 0.853 0.360
O13 O 0.797 0.431 0.736
O14 O 0.047 0.198 0.105
O15 O 0.953 0.802 0.895
O16 O 0.007 0.853 0.140
O17 O 0.711 0.029 0.051
O18 O 0.953 0.698 0.395
O19 O 0.453 0.802 0.605
O20 O 0.507 0.647 0.860
O21 O 0.211 0.471 0.949
O22 O 0.047 0.302 0.605
O23 O 0.993 0.147 0.860
O24 O 0.493 0.147 0.640
O25 O 0.007 0.647 0.640
O26 O 0.993 0.353 0.360
O27 O 0.711 0.471 0.551
O28 O 0.289 0.971 0.949
O29 O 0.547 0.198 0.395
O30 O 0.289 0.529 0.449
O31 O 0.297 0.069 0.264
O32 O 0.703 0.931 0.736
Li1 Li 0.441 0.327 0.521
Li2 Li 0.941 0.173 0.479
Li3 Li 0.059 0.827 0.521
Li4 Li 0.559 0.673 0.479
Li5 Li 0.059 0.673 0.021
Li6 Li 0.559 0.827 0.979
Li7 Li 0.941 0.327 0.979
Li8 Li 0.441 0.173 0.021
P1 P 0.610 0.960 0.628
P2 P 0.110 0.540 0.372
P3 P 0.390 0.040 0.372
P4 P 0.890 0.040 0.128
P5 P 0.890 0.460 0.628
P6 P 0.390 0.460 0.872
P7 P 0.610 0.540 0.128
P8 P 0.110 0.960 0.872
Ni1 Ni 0.788 0.814 0.285
Ni2 Ni 0.788 0.686 0.785
Ni3 Ni 0.288 0.814 0.215
Ni4 Ni 0.712 0.314 0.285
Ni5 Ni 0.212 0.186 0.715
Ni6 Ni 0.288 0.686 0.715
Ni7 Ni 0.712 0.186 0.785
Ni8 Ni 0.212 0.314 0.215

2.
# LiNiPO4 (PBE+U, optimized geometry)
# VASP energy	-6.2037	eV per atom
# formation energy from the elements	-1526.5	kJ/mol of formula units
# volume	474.80	Å³ per cell
data_LiNiPO4
_chemical_formula_sum 'Li6 Ni6 P6 O24'
_space_group_name_H-M_alt 'P 1'
_space_group_IT_number 1
_cell_length_a 7.554
_cell_length_b 7.554
_cell_length_c 9.608
_cell_angle_alpha 90.00
_cell_angle_beta 90.00
_cell_angle_gamma 120.00
loop_
_space_group_symop_operation_xyz
'x,y,z'
loop_
_atom_site_label
_atom_site_type_symbol
_atom_site_fract_x
_atom_site_fract_y
_atom_site_fract_z
P1 P 0.000 0.000 0.491
P2 P 0.000 0.000 0.991
P3 P 0.333 0.667 0.782
P4 P 0.333 0.667 0.195
P5 P 0.667 0.333 0.695
P6 P 0.667 0.333 0.282
O1 O 0.202 0.757 0.139
O2 O 0.377 0.877 0.840
O3 O 0.123 0.500 0.840
O4 O 0.877 0.377 0.340
O5 O 0.243 0.444 0.139
O6 O 0.556 0.798 0.139
O7 O 0.866 0.088 0.939
O8 O 0.667 0.333 0.121
O9 O 0.134 0.221 0.439
O10 O 0.333 0.667 0.355
O11 O 0.667 0.333 0.855
O12 O 0.088 0.866 0.439
O13 O 0.912 0.779 0.939
O14 O 0.000 0.000 0.657
O15 O 0.623 0.500 0.340
O16 O 0.500 0.123 0.340
O17 O 0.000 0.000 0.157
O18 O 0.333 0.667 0.621
O19 O 0.444 0.243 0.639
O20 O 0.757 0.202 0.639
O21 O 0.500 0.623 0.840
O22 O 0.798 0.556 0.639
O23 O 0.221 0.134 0.939
O24 O 0.779 0.912 0.439
Li1 Li 0.523 0.931 0.479
Li2 Li 0.069 0.592 0.479
Li3 Li 0.477 0.408 0.979
Li4 Li 0.931 0.523 0.979
Li5 Li 0.408 0.477 0.479
Li6 Li 0.592 0.069 0.979
Ni1 Ni 0.257 0.023 0.758
Ni2 Ni 0.234 0.977 0.258
Ni3 Ni 0.023 0.257 0.258
Ni4 Ni 0.743 0.766 0.258
Ni5 Ni 0.977 0.234 0.758
Ni6 Ni 0.766 0.743 0.758

3.
# LiNiPO4 (PBE+U, optimized geometry)
# VASP energy	-6.2403	eV per atom
# formation energy from the elements	-1551.2	kJ/mol of formula units
# volume	333.66	Å³ per cell
data_LiNiPO4
_chemical_formula_sum 'Li4 Ni4 P4 O16'
_space_group_name_H-M_alt 'P 1'
_space_group_IT_number 1
_cell_length_a 4.921
_cell_length_b 11.338
_cell_length_c 5.980
_cell_angle_alpha 90.01
_cell_angle_beta 90.00
_cell_angle_gamma 90.00
loop_
_space_group_symop_operation_xyz
'x,y,z'
loop_
_atom_site_label
_atom_site_type_symbol
_atom_site_fract_x
_atom_site_fract_y
_atom_site_fract_z
O1 O 0.812 0.911 0.291
O2 O 0.880 0.147 0.512
O3 O 0.915 0.660 0.558
O4 O 0.312 0.089 0.709
O5 O 0.392 0.538 0.260
O6 O 0.312 0.589 0.791
O7 O 0.392 0.039 0.240
O8 O 0.892 0.461 0.740
O9 O 0.415 0.340 0.442
O10 O 0.380 0.853 0.488
O11 O 0.880 0.647 0.988
O12 O 0.892 0.961 0.760
O13 O 0.415 0.840 0.057
O14 O 0.812 0.411 0.209
O15 O 0.380 0.353 0.012
O16 O 0.915 0.160 0.943
Ni1 Ni 0.985 0.332 0.953
Ni2 Ni 0.985 0.832 0.547
Ni3 Ni 0.485 0.668 0.047
Ni4 Ni 0.485 0.168 0.453
Li1 Li 0.488 0.938 0.785
Li2 Li 0.488 0.438 0.715
Li3 Li 0.988 0.562 0.285
Li4 Li 0.988 0.062 0.215
P1 P 0.998 0.090 0.729
P2 P 0.498 0.410 0.229
P3 P 0.998 0.590 0.771
P4 P 0.498 0.910 0.271

4.
# LiNiPO4 (PBE+U, optimized geometry)
# VASP energy	-6.2474	eV per atom
# formation energy from the elements	-1556.0	kJ/mol of formula units
# volume	599.53	Å³ per cell
data_LiNiPO4
_chemical_formula_sum 'Li8 Ni8 P8 O32'
_space_group_name_H-M_alt 'P 1'
_space_group_IT_number 1
_cell_length_a 5.753
_cell_length_b 7.467
_cell_length_c 13.956
_cell_angle_alpha 90.00
_cell_angle_beta 90.00
_cell_angle_gamma 90.00
loop_
_space_group_symop_operation_xyz
'x,y,z'
loop_
_atom_site_label
_atom_site_type_symbol
_atom_site_fract_x
_atom_site_fract_y
_atom_site_fract_z
Ni1 Ni 0.599 0.679 0.466
Ni2 Ni 0.401 0.179 0.034
Ni3 Ni 0.099 0.821 0.534
Ni4 Ni 0.099 0.679 0.034
Ni5 Ni 0.401 0.321 0.534
Ni6 Ni 0.901 0.321 0.966
Ni7 Ni 0.599 0.821 0.966
Ni8 Ni 0.901 0.179 0.466
P1 P 0.401 0.455 0.874
P2 P 0.901 0.455 0.626
P3 P 0.599 0.545 0.126
P4 P 0.599 0.955 0.626
P5 P 0.901 0.045 0.126
P6 P 0.099 0.955 0.874
P7 P 0.401 0.045 0.374
P8 P 0.099 0.545 0.374
O1 O 0.532 0.865 0.367
O2 O 0.468 0.365 0.133
O3 O 0.968 0.135 0.867
O4 O 0.032 0.635 0.633
O5 O 0.819 0.977 0.561
O6 O 0.181 0.477 0.939
O7 O 0.344 0.109 0.273
O8 O 0.319 0.523 0.439
O9 O 0.061 0.191 0.077
O10 O 0.968 0.365 0.367
O11 O 0.561 0.191 0.423
O12 O 0.819 0.523 0.061
O13 O 0.061 0.309 0.577
O14 O 0.032 0.865 0.133
O15 O 0.319 0.977 0.939
O16 O 0.681 0.023 0.061
O17 O 0.844 0.391 0.727
O18 O 0.181 0.023 0.439
O19 O 0.439 0.691 0.077
O20 O 0.468 0.135 0.633
O21 O 0.439 0.809 0.577
O22 O 0.681 0.477 0.561
O23 O 0.939 0.691 0.423
O24 O 0.561 0.309 0.923
O25 O 0.532 0.635 0.867
O26 O 0.656 0.891 0.727
O27 O 0.344 0.391 0.773
O28 O 0.156 0.891 0.773
O29 O 0.939 0.809 0.923
O30 O 0.844 0.109 0.227
O31 O 0.156 0.609 0.273
O32 O 0.656 0.609 0.227
Li1 Li 0.653 0.307 0.279
Li2 Li 0.153 0.193 0.721
Li3 Li 0.847 0.807 0.279
Li4 Li 0.347 0.693 0.721
Li5 Li 0.347 0.807 0.221
Li6 Li 0.153 0.307 0.221
Li7 Li 0.847 0.693 0.779
Li8 Li 0.653 0.193 0.779